# LiFePO4

An optimized crystal structure of LiFePO4 (PBE+U, Materials Project).

E above lowest polymorph	0.48	eV per formula unit
formation enthalpy at 0 K	-2412	meV/atom
total energy	-6.78	eV per atom

Structure (POSCAR):
```
LiFePO4
1.0
-2.411 4.208 -1.093
-2.242 -2.657 -5.286
-7.620 -3.119 4.799
Li Fe P O
4 4 4 16
Cartesian
0.000 0.000 0.000 Li
-1.121 -1.329 -2.643 Li
-5.015 0.544 1.853 Li
-6.136 -0.784 -0.790 Li
-3.945 -0.481 -3.765 Fe
-5.576 2.319 -0.694 Fe
-6.697 -3.887 -0.885 Fe
-8.327 -1.087 2.185 Fe
-3.063 0.715 -0.954 P
-6.426 1.067 -3.490 P
-5.847 -2.635 1.911 P
-9.210 -2.283 -0.626 P
-3.614 2.090 -1.411 O
-1.778 0.920 -0.103 O
-2.666 -0.131 -2.195 O
-5.030 1.275 -4.187 O
-4.122 -0.081 -0.104 O
-7.093 -0.216 -4.061 O
-6.206 0.836 -1.969 O
-4.949 -1.924 -2.614 O
-7.324 0.356 1.034 O
-5.180 -1.353 2.482 O
-6.067 -2.404 0.390 O
-8.151 -1.487 -1.475 O
-7.243 -2.843 2.608 O
-9.607 -1.437 0.615 O
-10.494 -2.488 -1.476 O
-8.659 -3.658 -0.169 O
```


# Li7Fe4P9O32

An optimized crystal structure of Li7Fe4P9O32 (PBE+U, Materials Project).

formation enthalpy at 0 K	-2519	meV/atom
total energy	-6.81	eV per atom

Structure (POSCAR):
```
Li7Fe4P9O32
1.0
-1.357 -13.700 1.719
-0.788 -1.648 -13.753
6.354 -0.665 -0.284
Li Fe P O
14 8 18 64
Cartesian
0.000 0.000 0.000 Li
0.458 -0.913 -6.915 Li
3.635 -1.246 -7.057 Li
4.429 -3.223 -10.291 Li
1.173 -4.560 -8.006 Li
0.764 -3.797 -1.076 Li
3.644 -6.255 -2.885 Li
1.647 -7.094 0.755 Li
4.824 -7.426 0.613 Li
2.104 -8.006 -6.159 Li
2.953 -10.008 -9.541 Li
-0.521 -11.801 -11.065 Li
0.647 -11.203 -4.206 Li
3.746 -13.205 -2.205 Li
3.648 -2.397 -2.674 Fe
1.427 -4.392 -11.858 Fe
0.080 -4.863 -4.727 Fe
4.501 -6.923 -9.179 Fe
4.482 -9.590 -3.354 Fe
-0.645 -10.650 -7.379 Fe
1.201 -11.455 -0.390 Fe
2.141 -13.782 -9.715 Fe
3.177 -0.333 -0.142 P
1.808 -2.220 -9.521 P
0.511 -1.964 -3.249 P
4.910 -4.139 -7.626 P
4.465 -5.429 -12.102 P
3.375 -4.537 -5.148 P
3.454 -4.731 -0.474 P
1.204 -6.856 -9.701 P
-0.006 -6.419 -1.916 P
-1.073 -7.674 -6.017 P
-0.655 -9.084 -10.185 P
1.303 -8.979 -2.542 P
2.240 -11.438 -11.911 P
2.536 -11.654 -7.247 P
4.397 -11.071 -0.425 P
4.168 -12.383 -4.911 P
-0.954 -13.562 -8.862 P
0.916 -13.638 -2.731 P
0.503 -1.393 -10.064 O
3.037 -1.786 -10.344 O
1.913 -1.986 -8.030 O
3.988 -1.368 -0.975 O
1.405 -2.673 -12.909 O
5.074 -2.641 -7.758 O
5.632 -2.382 -2.670 O
1.652 -2.422 -2.323 O
3.486 -3.141 -4.559 O
0.302 -2.860 -4.458 O
1.443 -3.684 -9.850 O
3.449 -4.340 -11.715 O
-0.530 -4.095 -11.991 O
3.553 -4.416 -6.753 O
4.583 -4.805 -8.982 O
-0.270 -4.208 -6.665 O
2.354 -3.842 0.139 O
3.617 -4.408 -1.976 O
4.896 -4.275 0.151 O
2.013 -5.209 -5.006 O
4.443 -5.518 -4.632 O
0.300 -5.078 -2.620 O
1.264 -6.272 -11.102 O
4.439 -6.646 -11.192 O
0.169 -6.178 -8.786 O
2.530 -6.909 -8.948 O
3.296 -6.215 -0.230 O
0.007 -6.782 -5.339 O
4.369 -7.518 -7.258 O
0.061 -6.293 -0.410 O
5.041 -7.683 -2.754 O
1.241 -7.368 -2.392 O
0.798 -8.418 -9.829 O
4.598 -8.899 -9.808 O
-0.748 -9.207 -11.690 O
4.307 -8.962 -5.261 O
-0.265 -8.764 -6.780 O
2.371 -9.950 -12.154 O
2.539 -9.194 -3.409 O
0.073 -9.420 -3.355 O
4.543 -9.867 -1.341 O
1.364 -9.575 -1.146 O
-0.572 -10.466 -9.498 O
3.734 -10.910 -7.864 O
1.336 -10.714 -7.275 O
3.496 -12.176 -12.657 O
2.465 -11.801 -10.427 O
0.930 -12.074 -12.416 O
-0.950 -11.236 -5.411 O
4.107 -11.678 -3.538 O
2.826 -11.825 -5.663 O
-0.756 -11.342 -0.082 O
3.147 -11.923 -0.711 O
0.893 -12.132 -2.385 O
-0.866 -12.653 -7.648 O
2.304 -13.037 -7.831 O
0.170 -13.341 -9.889 O
4.071 -14.206 -9.894 O
4.031 -13.884 -4.780 O
0.916 -13.142 0.675 O
2.109 -14.843 -11.428 O
0.838 -13.874 -4.223 O
2.097 -14.324 -2.017 O
-0.478 -14.182 -2.068 O
```


> The highest total energy belongs to which entry?

LiFePO4